Record 1
V2HgO6 PBE with a Hubbard U optimized geometry; total DFT energy (no corrections) = -6.455 eV per atom; formation energy = -1939.9 meV per atom
1.0
4.9974 0.0000 0.0000
0.0000 14.6095 0.0000
0.0000 0.0000 6.1118
V Hg O
8 4 24
Direct
0.0327 0.1706 0.0643 V
0.0327 0.3294 0.5643 V
0.4673 0.6706 0.0643 V
0.4673 0.8294 0.5643 V
0.5327 0.1706 0.4357 V
0.5327 0.3294 0.9357 V
0.9673 0.6706 0.4357 V
0.9673 0.8294 0.9357 V
0.0000 0.0000 0.5000 Hg
0.0000 0.5000 0.0000 Hg
0.5000 0.0000 0.0000 Hg
0.5000 0.5000 0.5000 Hg
0.0618 0.5956 0.6205 O
0.0618 0.9044 0.1205 O
0.1620 0.6094 0.1783 O
0.1620 0.8906 0.6783 O
0.2270 0.2476 0.4046 O
0.2270 0.2524 0.9046 O
0.2730 0.7476 0.4046 O
0.2730 0.7524 0.9046 O
0.3380 0.1094 0.1783 O
0.3380 0.3906 0.6783 O
0.4382 0.0956 0.6205 O
0.4382 0.4044 0.1205 O
0.5618 0.5956 0.8795 O
0.5618 0.9044 0.3795 O
0.6620 0.6094 0.3217 O
0.6620 0.8906 0.8217 O
0.7270 0.2476 0.0954 O
0.7270 0.2524 0.5954 O
0.7730 0.7476 0.0954 O
0.7730 0.7524 0.5954 O
0.8380 0.1094 0.3217 O
0.8380 0.3906 0.8217 O
0.9382 0.0956 0.8795 O
0.9382 0.4044 0.3795 O

=====

Record 2
LiV2P4H2O16 PBE with a Hubbard U optimized geometry; size of the total moment = 3.00 μB/cell; total DFT energy (no corrections) = -6.931 eV per atom; formation energy = -2399.7 meV per atom; relative energy among the computed polymorphs = 0.003 eV/atom
1.0
7.7414 0.0000 0.0000
0.0156 7.8951 0.0000
2.0510 0.0081 13.4628
Li V P H O
3 6 12 6 48
Direct
0.0000 0.0000 0.0000 Li
0.0804 0.5007 0.7048 Li
0.4189 0.5037 0.3702 Li
0.1236 0.3771 0.0199 V
0.2911 0.8757 0.3537 V
0.4649 0.3667 0.6871 V
0.6155 0.8638 0.0192 V
0.8002 0.3622 0.3489 V
0.9589 0.8778 0.6821 V
0.0111 0.7193 0.8975 P
0.0697 0.2189 0.8063 P
0.1775 0.5280 0.2310 P
0.2389 0.0279 0.1413 P
0.3491 0.7218 0.5680 P
0.4041 0.2202 0.4739 P
0.5145 0.5141 0.8997 P
0.5692 0.0150 0.8054 P
0.6802 0.7233 0.2338 P
0.7338 0.2232 0.1361 P
0.8425 0.5246 0.5623 P
0.9012 0.0159 0.4712 P
0.1183 0.3734 0.5204 H
0.2975 0.8787 0.8482 H
0.4593 0.3641 0.1840 H
0.6259 0.8701 0.5178 H
0.7864 0.3782 0.8562 H
0.9584 0.8667 0.1867 H
0.0053 0.4227 0.5800 O
0.0083 0.4286 0.2823 O
0.0178 0.5427 0.9434 O
0.0642 0.0435 0.7601 O
0.0686 0.9291 0.4178 O
0.0765 0.9287 0.1240 O
0.0868 0.1987 0.9180 O
0.1558 0.5440 0.1211 O
0.1658 0.8288 0.9148 O
0.1800 0.8139 0.6177 O
0.1806 0.7008 0.2802 O
0.2334 0.2013 0.0920 O
0.2364 0.3178 0.7545 O
0.2460 0.3295 0.4598 O
0.2646 0.0436 0.2504 O
0.3295 0.6956 0.4568 O
0.3378 0.4267 0.2493 O
0.3433 0.5442 0.6218 O
0.3485 0.4287 0.9523 O
0.3950 0.0418 0.4337 O
0.4055 0.9284 0.0869 O
0.4061 0.9169 0.7900 O
0.4274 0.2113 0.5863 O
0.4979 0.5325 0.7879 O
0.5134 0.8164 0.5815 O
0.5154 0.8154 0.2870 O
0.5238 0.6960 0.9462 O
0.5584 0.1977 0.7605 O
0.5660 0.3168 0.1255 O
0.5659 0.3178 0.4180 O
0.5877 0.0307 0.9172 O
0.6563 0.7097 0.1212 O
0.6772 0.4284 0.6168 O
0.6771 0.5436 0.2817 O
0.6775 0.4159 0.9155 O
0.7345 0.9299 0.7504 O
0.7375 0.0449 0.0868 O
0.7379 0.9210 0.4555 O
0.7556 0.2079 0.2489 O
0.8236 0.5302 0.4508 O
0.8453 0.8172 0.9515 O
0.8470 0.8169 0.2446 O
0.8508 0.6995 0.6071 O
0.8929 0.1969 0.4203 O
0.8979 0.3177 0.0857 O
0.9156 0.3301 0.7889 O
0.9255 0.0447 0.5799 O
0.9911 0.6987 0.7863 O

=====

Record 3
Li5Ni8O16 PBE with a Hubbard U optimized geometry; size of the total moment = 10.00 μB/cell; total DFT energy (no corrections) = -4.833 eV per atom; formation energy = -1259.6 meV per atom
1.0
6.4987 0.0000 0.0000
-3.1308 6.9280 0.0000
-2.1163 -1.3724 12.1209
Li Ni O
10 16 32
Direct
0.0000 0.0000 0.0000 Li
0.0450 0.4160 0.9515 Li
0.1817 0.1241 0.8099 Li
0.2473 0.5053 0.7417 Li
0.3086 0.8852 0.6885 Li
0.4963 0.0156 0.5025 Li
0.5510 0.3853 0.4489 Li
0.6137 0.7654 0.3814 Li
0.7540 0.4819 0.2423 Li
0.8060 0.8995 0.1881 Li
0.0316 0.7016 0.4728 Ni
0.0853 0.0641 0.4091 Ni
0.1470 0.4428 0.3455 Ni
0.2214 0.8272 0.2867 Ni
0.2735 0.1966 0.2210 Ni
0.3351 0.5703 0.1577 Ni
0.4007 0.9491 0.0975 Ni
0.4634 0.3302 0.0317 Ni
0.5256 0.6977 0.9700 Ni
0.5837 0.0693 0.9097 Ni
0.6564 0.4505 0.8473 Ni
0.7149 0.8234 0.7848 Ni
0.7683 0.1926 0.7211 Ni
0.8373 0.5736 0.6592 Ni
0.8975 0.9459 0.5953 Ni
0.9651 0.3209 0.5320 Ni
0.0085 0.1548 0.2781 O
0.0364 0.2186 0.6673 O
0.0819 0.5565 0.2197 O
0.1043 0.6094 0.6075 O
0.1338 0.9326 0.1586 O
0.1739 0.9591 0.5373 O
0.1987 0.3150 0.0790 O
0.2184 0.3262 0.4706 O
0.2656 0.6688 0.0277 O
0.2982 0.7318 0.4186 O
0.3175 0.0778 0.9629 O
0.3530 0.0892 0.3637 O
0.3884 0.4382 0.9022 O
0.4132 0.4634 0.2875 O
0.4479 0.7856 0.8367 O
0.4912 0.8210 0.2283 O
0.4997 0.1584 0.7798 O
0.5353 0.2350 0.1609 O
0.5845 0.5621 0.7201 O
0.5964 0.5930 0.1019 O
0.6243 0.9317 0.6582 O
0.6647 0.9564 0.0343 O
0.7003 0.2975 0.5821 O
0.7241 0.3491 0.9763 O
0.7643 0.6765 0.5201 O
0.7918 0.7330 0.9166 O
0.8193 0.0355 0.4638 O
0.8548 0.0796 0.8545 O
0.8896 0.4440 0.4046 O
0.9155 0.4479 0.7909 O
0.9398 0.8017 0.3465 O
0.9771 0.8551 0.7273 O

=====

Record 4
Co3O2F4 PBE with a Hubbard U optimized geometry; size of the total moment = 22.00 μB/cell; total DFT energy (no corrections) = -5.231 eV per atom; formation energy = -1815.2 meV per atom; relative energy among the computed polymorphs = 0.064 eV/atom
1.0
3.3143 -3.3039 0.0000
3.3143 3.3039 0.0000
-0.0634 0.0000 9.3836
Co O F
6 4 8
Direct
0.0000 0.0000 0.0000 Co
0.4619 0.4642 0.1730 Co
0.5091 0.4909 0.5000 Co
0.5358 0.5381 0.8270 Co
0.9658 0.0328 0.3278 Co
0.9672 0.0342 0.6722 Co
0.1877 0.1968 0.1669 O
0.6875 0.3028 0.3341 O
0.6972 0.3125 0.6659 O
0.8032 0.8123 0.8331 O
0.1818 0.2020 0.4993 F
0.2116 0.2211 0.8297 F
0.2800 0.7083 0.3342 F
0.2917 0.7200 0.6658 F
0.3066 0.6934 0.0000 F
0.6901 0.3099 0.0000 F
0.7789 0.7884 0.1703 F
0.7981 0.8182 0.5007 F

=====

Record 5
FeOF PBE with a Hubbard U optimized geometry; size of the total moment = 58.84 μB/cell; total DFT energy (no corrections) = -5.992 eV per atom; formation energy = -2016.3 meV per atom
1.0
9.6430 0.0000 0.0000
0.0000 3.1281 0.0000
-0.1086 0.0000 14.3341
Fe O F
12 12 12
Direct
0.0000 0.0000 0.0000 Fe
0.0005 0.0000 0.3354 Fe
0.2171 0.5000 0.5065 Fe
0.2385 0.5000 0.8506 Fe
0.2393 0.5000 0.1894 Fe
0.4868 0.0000 0.9953 Fe
0.4924 0.0000 0.3274 Fe
0.5111 0.0000 0.6721 Fe
0.7419 0.5000 0.5185 Fe
0.7482 0.5000 0.1898 Fe
0.7529 0.5000 0.8176 Fe
0.9866 0.0000 0.6636 Fe
0.0875 0.5000 0.4016 O
0.1436 0.0000 0.5687 O
0.1472 0.0000 0.2359 O
0.1477 0.0000 0.9024 O
0.4002 0.5000 0.2753 O
0.4033 0.5000 0.9389 O
0.5862 0.5000 0.7374 O
0.6447 0.0000 0.5681 O
0.6515 0.0000 0.2380 O
0.8495 0.0000 0.7707 O
0.8981 0.5000 0.6055 O
0.9015 0.5000 0.2762 O
0.0964 0.5000 0.0743 F
0.0984 0.5000 0.7359 F
0.3369 0.0000 0.7701 F
0.3430 0.0000 0.4419 F
0.3443 0.0000 0.1060 F
0.3927 0.5000 0.6057 F
0.5929 0.5000 0.4035 F
0.5945 0.5000 0.0685 F
0.6542 0.0000 0.9047 F
0.8373 0.0000 0.4400 F
0.8446 0.0000 0.1062 F
0.8862 0.5000 0.9397 F

=====

Record 6
Na3Li3Mn2P2C2O14 PBE with a Hubbard U optimized geometry; size of the total moment = 10.01 μB/cell; total DFT energy (no corrections) = -6.748 eV per atom; formation energy = -2378.4 meV per atom; relative energy among the computed polymorphs = 0.014 eV/atom
1.0
5.1052 0.0000 0.0000
-0.0395 6.6354 0.0000
-0.0490 -0.1151 8.8136
Na Li Mn P C O
3 3 2 2 2 14
Direct
0.0000 0.0000 0.0000 Na
0.0052 0.7464 0.6608 Na
0.4879 0.2559 0.8279 Na
0.0132 0.4848 0.0138 Li
0.4793 0.9874 0.4781 Li
0.4806 0.5119 0.4785 Li
0.0252 0.2483 0.3862 Mn
0.4688 0.7458 0.1067 Mn
0.5478 0.2532 0.1604 P
0.9500 0.7441 0.3342 P
0.5103 0.7469 0.7971 C
0.9802 0.2563 0.6900 C
0.0461 0.7335 0.1675 O
0.0490 0.5632 0.4281 O
0.0566 0.9337 0.4199 O
0.2098 0.2502 0.6261 O
0.2830 0.7483 0.8629 O
0.4347 0.4316 0.0692 O
0.4491 0.2511 0.3275 O
0.4641 0.0609 0.0699 O
0.5270 0.7491 0.6492 O
0.6421 0.7471 0.3327 O
0.7202 0.7431 0.8814 O
0.7711 0.2476 0.6041 O
0.8536 0.2685 0.1643 O
0.9607 0.2704 0.8366 O

=====

Record 7
MnInO3 PBE with a Hubbard U optimized geometry; size of the total moment = 0.00 μB/cell; total DFT energy (no corrections) = -6.595 eV per atom; formation energy = -1988.9 meV per atom
1.0
6.0091 0.0000 0.0000
-3.0046 5.2041 0.0000
0.0000 0.0000 11.6549
Mn In O
6 6 18
Direct
0.0000 0.3312 0.2500 Mn
0.0000 0.6688 0.7500 Mn
0.3312 0.0000 0.2500 Mn
0.3312 0.3312 0.7500 Mn
0.6688 0.0000 0.7500 Mn
0.6688 0.6688 0.2500 Mn
0.0000 0.0000 0.0000 In
0.0000 0.0000 0.5000 In
0.3333 0.6667 0.0187 In
0.3333 0.6667 0.5187 In
0.6667 0.3333 0.4813 In
0.6667 0.3333 0.9813 In
0.0000 0.0000 0.2500 O
0.0000 0.0000 0.7500 O
0.0250 0.3447 0.4155 O
0.0250 0.6804 0.9155 O
0.3196 0.3447 0.9155 O
0.3196 0.9750 0.4155 O
0.3333 0.6667 0.2272 O
0.3333 0.6667 0.7272 O
0.3447 0.0250 0.0845 O
0.3447 0.3196 0.5845 O
0.6553 0.6804 0.4155 O
0.6553 0.9750 0.9155 O
0.6667 0.3333 0.2728 O
0.6667 0.3333 0.7728 O
0.6804 0.0250 0.5845 O
0.6804 0.6553 0.0845 O
0.9750 0.3196 0.0845 O
0.9750 0.6553 0.5845 O

=====

Record 8
Ca2FeClO3 PBE with a Hubbard U optimized geometry; size of the total moment = 10.00 μB/cell; total DFT energy (no corrections) = -6.075 eV per atom; formation energy = -2524.5 meV per atom
1.0
3.9014 0.0000 0.0000
0.0000 3.9014 0.0000
0.0000 0.0000 13.6804
Ca Fe Cl O
4 2 2 6
Direct
0.2500 0.2500 0.0943 Ca
0.2500 0.2500 0.3406 Ca
0.7500 0.7500 0.6594 Ca
0.7500 0.7500 0.9057 Ca
0.2500 0.2500 0.7910 Fe
0.7500 0.7500 0.2090 Fe
0.2500 0.2500 0.5761 Cl
0.7500 0.7500 0.4239 Cl
0.2500 0.2500 0.9313 O
0.2500 0.7500 0.2334 O
0.2500 0.7500 0.7666 O
0.7500 0.2500 0.2334 O
0.7500 0.2500 0.7666 O
0.7500 0.7500 0.0687 O

=====

Record 9
UMo2O8 PBE with a Hubbard U optimized geometry; size of the total moment = 14.50 μB/cell; total DFT energy (no corrections) = -7.940 eV per atom; formation energy = -2425.0 meV per atom
1.0
9.6601 0.0000 0.0000
0.0000 14.3907 0.0000
0.0000 0.0000 10.2838
U Mo O
8 16 64
Direct
0.2239 0.1103 0.0335 U
0.2239 0.3897 0.5335 U
0.2761 0.6103 0.0335 U
0.2761 0.8897 0.5335 U
0.7239 0.1103 0.4665 U
0.7239 0.3897 0.9665 U
0.7761 0.6103 0.4665 U
0.7761 0.8897 0.9665 U
0.0039 0.5602 0.7756 Mo
0.0039 0.9398 0.2756 Mo
0.1851 0.6510 0.3946 Mo
0.1851 0.8490 0.8946 Mo
0.3149 0.1510 0.3946 Mo
0.3149 0.3490 0.8946 Mo
0.4961 0.0602 0.7756 Mo
0.4961 0.4398 0.2756 Mo
0.5039 0.5602 0.7244 Mo
0.5039 0.9398 0.2244 Mo
0.6851 0.6510 0.1054 Mo
0.6851 0.8490 0.6054 Mo
0.8149 0.1510 0.1054 Mo
0.8149 0.3490 0.6054 Mo
0.9961 0.0602 0.7244 Mo
0.9961 0.4398 0.2244 Mo
0.0001 0.1524 0.0813 O
0.0001 0.3476 0.5813 O
0.9999 0.6524 0.4187 O
0.9999 0.8476 0.9187 O
0.0890 0.5286 0.1401 O
0.0890 0.9714 0.6401 O
0.0933 0.6345 0.8934 O
0.0933 0.8655 0.3934 O
0.1116 0.1245 0.8274 O
0.1116 0.3755 0.3274 O
0.1246 0.5062 0.6669 O
0.1246 0.9938 0.1669 O
0.2311 0.2309 0.5035 O
0.2311 0.2691 0.0035 O
0.2324 0.6793 0.2299 O
0.2324 0.8207 0.7299 O
0.2441 0.5349 0.4273 O
0.2441 0.9651 0.9273 O
0.2559 0.0349 0.4273 O
0.2559 0.4651 0.9273 O
0.2676 0.1793 0.2299 O
0.2676 0.3207 0.7299 O
0.2689 0.7309 0.5035 O
0.2689 0.7691 0.0035 O
0.3754 0.0062 0.6669 O
0.3754 0.4938 0.1669 O
0.3884 0.6245 0.8274 O
0.3884 0.8755 0.3274 O
0.4067 0.1345 0.8934 O
0.4067 0.3655 0.3934 O
0.4110 0.0286 0.1401 O
0.4110 0.4714 0.6401 O
0.5001 0.1524 0.4187 O
0.5001 0.3476 0.9187 O
0.4999 0.6524 0.0813 O
0.4999 0.8476 0.5813 O
0.5890 0.5286 0.3599 O
0.5890 0.9714 0.8599 O
0.5933 0.6345 0.6066 O
0.5933 0.8655 0.1066 O
0.6116 0.1245 0.6726 O
0.6116 0.3755 0.1726 O
0.6246 0.5062 0.8331 O
0.6246 0.9938 0.3331 O
0.7311 0.2309 0.9965 O
0.7311 0.2691 0.4965 O
0.7324 0.6793 0.2701 O
0.7324 0.8207 0.7701 O
0.7441 0.5349 0.0727 O
0.7441 0.9651 0.5727 O
0.7559 0.0349 0.0727 O
0.7559 0.4651 0.5727 O
0.7676 0.1793 0.2701 O
0.7676 0.3207 0.7701 O
0.7689 0.7309 0.9965 O
0.7689 0.7691 0.4965 O
0.8754 0.0062 0.8331 O
0.8754 0.4938 0.3331 O
0.8884 0.6245 0.6726 O
0.8884 0.8755 0.1726 O
0.9067 0.1345 0.6066 O
0.9067 0.3655 0.1066 O
0.9110 0.0286 0.3599 O
0.9110 0.4714 0.8599 O